A plane-wave DFT calculation with PBE was carried out for crystalline Tb4Zn5Ge6 at its relaxed geometry.

```
30
Lattice="2.133 -9.260 0.000 2.133 9.260 0.000 0.000 0.000 15.847" Properties=species:S:1:pos:R:3 pbc="T T T"
Tb 2.133 8.650 7.923
Tb 2.133 8.643 12.210
Tb 2.133 6.069 15.128
Tb 2.133 5.934 4.963
Tb 2.133 -5.934 12.886
Tb 2.133 -6.069 7.204
Tb 2.133 -8.650 0.000
Tb 2.133 -8.643 4.286
Zn 2.133 6.539 10.119
Zn 2.133 3.887 10.193
Zn 2.133 2.882 15.808
Zn 2.133 1.385 11.357
Zn 2.133 1.271 8.762
Zn 2.133 -1.271 0.839
Zn 2.133 -1.385 3.434
Zn 2.133 -2.882 7.884
Zn 2.133 -3.887 2.269
Zn 2.133 -6.539 2.195
Ge 2.133 7.119 2.139
Ge 2.133 5.341 12.309
Ge 2.133 5.107 7.914
Ge 2.133 1.295 6.260
Ge 2.133 1.258 13.807
Ge 2.133 1.095 2.137
Ge 2.133 -1.095 10.060
Ge 2.133 -1.258 5.884
Ge 2.133 -1.295 14.184
Ge 2.133 -5.107 15.837
Ge 2.133 -5.341 4.386
Ge 2.133 -7.119 10.062
```

Calculated values
E_form in eV/atom: -0.4798
Space group: No. 36